# Li2MnB5O10 | the Materials Project | GGA+U | optimized geometry
# - M_tot: 0.222 μB per atom
# - Corrected total energy (MP2020 scheme): -574.6 eV per cell
data_Li2MnB5O10
_chemical_formula_sum 'Li8 Mn4 B20 O40'
_cell_length_a 7.2507
_cell_length_b 15.4555
_cell_length_c 7.1307
_cell_angle_alpha 90.00
_cell_angle_beta 93.99
_cell_angle_gamma 90.00
_symmetry_space_group_name_H-M 'P 1 21/c 1'
_symmetry_Int_Tables_number 14
loop_
_symmetry_equiv_pos_as_xyz
'x,y,z'
'-x,-y,-z'
'-x,y+1/2,-z+1/2'
'x,-y+1/2,z+1/2'
loop_
_atom_site_label
_atom_site_fract_x
_atom_site_fract_y
_atom_site_fract_z
Li1 0.0973 0.1687 0.4926
Li2 0.3127 0.5753 0.5897
Mn1 0.1586 0.1238 0.0278
B1 0.1979 0.0238 0.4046
B2 0.2160 0.7254 0.5152
B3 0.2609 0.5020 0.2382
B4 0.3218 0.6201 0.0093
B5 0.4560 0.2429 0.4846
O1 0.0904 0.6609 0.5197
O2 0.1315 0.0830 0.2767
O3 0.1720 0.6888 0.9918
O4 0.1766 0.0491 0.5932
O5 0.2741 0.2315 0.9762
O6 0.2775 0.5533 0.8614
O7 0.2780 0.0271 0.9214
O8 0.3271 0.5814 0.1974
O9 0.4017 0.6978 0.5423
O10 0.4986 0.1586 0.5206

=====

# Li5Mn6B6O18 | the Materials Project | GGA+U | optimized geometry
# - ΔE to the lowest computed polymorph: 8 meV/atom
# - M_tot: 0.828 μB per atom
# - Corrected total energy (MP2020 scheme): -560.5 eV per cell
data_Li5Mn6B6O18
_chemical_formula_sum 'Li10 Mn12 B12 O36'
_cell_length_a 8.2168
_cell_length_b 8.8543
_cell_length_c 12.6535
_cell_angle_alpha 92.57
_cell_angle_beta 108.60
_cell_angle_gamma 117.63
_symmetry_space_group_name_H-M 'P 1'
_symmetry_Int_Tables_number 1
loop_
_symmetry_equiv_pos_as_xyz
'x,y,z'
loop_
_atom_site_label
_atom_site_fract_x
_atom_site_fract_y
_atom_site_fract_z
Li1 0.0000 0.0000 0.0000
Li2 0.0091 0.7268 0.4203
Li3 0.1145 0.4288 0.8511
Li4 0.2460 0.2384 0.2475
Li5 0.2570 0.9831 0.6718
Li6 0.3587 0.6689 0.1001
Li7 0.4933 0.2309 0.9155
Li8 0.5030 0.4913 0.4942
Li9 0.7485 0.4762 0.1649
Li10 0.8798 0.1854 0.6062
Mn1 0.0844 0.1133 0.4569
Mn2 0.1592 0.8203 0.8844
Mn3 0.2250 0.5927 0.2986
Mn4 0.3678 0.3943 0.6999
Mn5 0.4368 0.0599 0.1408
Mn6 0.4849 0.8399 0.5478
Mn7 0.5987 0.6244 0.9544
Mn8 0.6835 0.3118 0.3876
Mn9 0.7132 0.0689 0.7983
Mn10 0.8285 0.8634 0.2125
Mn11 0.9258 0.5687 0.6387
Mn12 0.9566 0.3316 0.0482
B1 0.0374 0.7252 0.0923
B2 0.0917 0.1108 0.7983
B3 0.1358 0.4729 0.5067
B4 0.2803 0.9657 0.3333
B5 0.3315 0.3396 0.0475
B6 0.3654 0.7145 0.7514
B7 0.5435 0.2175 0.5944
B8 0.5791 0.5757 0.2945
B9 0.6155 0.9650 0.0091
B10 0.7768 0.4520 0.8389
B11 0.8446 0.8419 0.5483
B12 0.8705 0.2160 0.2517
O1 0.0030 0.5778 0.1353
O2 0.0234 0.9016 0.5305
O3 0.0348 0.3074 0.2238
O4 0.0457 0.9816 0.8590
O5 0.1194 0.3396 0.5687
O6 0.1494 0.0269 0.3197
O7 0.2110 0.8121 0.0680
O8 0.2140 0.4172 0.0145
O9 0.2337 0.7748 0.7434
O10 0.2594 0.1698 0.7699
O11 0.2639 0.8290 0.3859
O12 0.2756 0.1976 0.0992
O13 0.2947 0.5524 0.4738
O14 0.3332 0.5610 0.7943
O15 0.4201 0.2917 0.5789
O16 0.4347 0.0510 0.2938
O17 0.4623 0.6488 0.2541
O18 0.4884 0.0349 0.9980
O19 0.5030 0.0724 0.6395
O20 0.5067 0.4067 0.0273
O21 0.5154 0.4336 0.3454
O22 0.5226 0.7961 0.7193
O23 0.5768 0.8172 0.0535
O24 0.6360 0.5058 0.8172
O25 0.7034 0.2930 0.5607
O26 0.7191 0.2614 0.2209
O27 0.7452 0.3093 0.8871
O28 0.7562 0.9434 0.5347
O29 0.7615 0.6422 0.2811
O30 0.7627 0.6834 0.5780
O31 0.7755 0.0444 0.9767
O32 0.8473 0.0835 0.3078
O33 0.9072 0.7875 0.0694
O34 0.9462 0.5440 0.8161
O35 0.9742 0.1881 0.7689
O36 0.9896 0.5169 0.4819

=====

# Li2Mn3B3O9 | the Materials Project | GGA+U | optimized geometry
# - ΔE to the lowest computed polymorph: 37 meV/atom
# - M_tot: 0.824 μB per atom
# - Corrected total energy (MP2020 scheme): -548.4 eV per cell
data_Li2Mn3B3O9
_chemical_formula_sum 'Li8 Mn12 B12 O36'
_cell_length_a 8.2689
_cell_length_b 12.7141
_cell_length_c 8.2805
_cell_angle_alpha 90.00
_cell_angle_beta 119.81
_cell_angle_gamma 90.00
_symmetry_space_group_name_H-M 'P 1 m 1'
_symmetry_Int_Tables_number 6
loop_
_symmetry_equiv_pos_as_xyz
'x,y,z'
'x,-y,z'
loop_
_atom_site_label
_atom_site_fract_x
_atom_site_fract_y
_atom_site_fract_z
Li1 0.0000 0.0000 0.0000
Li2 0.0005 0.2484 0.0036
Li3 0.4207 0.5000 0.7447
Li4 0.4237 0.0000 0.7439
Li5 0.7378 0.5000 0.3208
Li6 0.7423 0.2512 0.3216
Mn1 0.0913 0.1256 0.3904
Mn2 0.1002 0.3746 0.3828
Mn3 0.3512 0.3752 0.0251
Mn4 0.3704 0.1240 0.0319
Mn5 0.7016 0.1248 0.6392
Mn6 0.7095 0.3745 0.6616
B1 0.0481 0.2499 0.6842
B2 0.0530 0.0000 0.6975
B3 0.0555 0.5000 0.6851
B4 0.3784 0.0000 0.3530
B5 0.3901 0.2503 0.3483
B6 0.3903 0.5000 0.3615
B7 0.7213 0.3746 0.0302
B8 0.7270 0.1260 0.0194
O1 0.1158 0.2532 0.5617
O2 0.1301 0.0000 0.5824
O3 0.1325 0.5000 0.5689
O4 0.1621 0.2492 0.8752
O5 0.1702 0.0000 0.8881
O6 0.1797 0.5000 0.8748
O7 0.1850 0.0000 0.2813
O8 0.1977 0.2527 0.2733
O9 0.1986 0.5000 0.2882
O10 0.4522 0.0000 0.2387
O11 0.4648 0.5000 0.2445
O12 0.4659 0.2538 0.2301
O13 0.4973 0.0000 0.5480
O14 0.5054 0.5000 0.5550
O15 0.5057 0.2444 0.5379
O16 0.5303 0.3854 0.9283
O17 0.5367 0.1156 0.9194
O18 0.8106 0.3773 0.2244
O19 0.8162 0.1401 0.2098
O20 0.8213 0.3614 0.9401
O21 0.8325 0.1224 0.9299
O22 0.8550 0.2474 0.6080
O23 0.8617 0.0000 0.6290
O24 0.8653 0.5000 0.6116

=====

# LiMn4B4O12 | the Materials Project | GGA+U | optimized geometry
# - ΔE to the lowest computed polymorph: 2 meV/atom
# - M_tot: 0.810 μB per atom
# - Corrected total energy (MP2020 scheme): -174.6 eV per cell
data_LiMn4B4O12
_chemical_formula_sum 'Li1 Mn4 B4 O12'
_cell_length_a 5.3298
_cell_length_b 5.7914
_cell_length_c 9.1027
_cell_angle_alpha 105.92
_cell_angle_beta 92.95
_cell_angle_gamma 112.20
_symmetry_space_group_name_H-M 'P 1'
_symmetry_Int_Tables_number 1
loop_
_symmetry_equiv_pos_as_xyz
'x,y,z'
loop_
_atom_site_label
_atom_site_fract_x
_atom_site_fract_y
_atom_site_fract_z
Li1 0.0000 0.0000 0.0000
Mn1 0.0006 0.4092 0.5850
Mn2 0.0192 0.9439 0.3159
Mn3 0.4809 0.9193 0.7964
Mn4 0.5347 0.4274 0.0834
B1 0.0452 0.4247 0.2466
B2 0.4787 0.9271 0.1422
B3 0.5257 0.4062 0.7295
B4 0.9658 0.9262 0.6571
O1 0.0853 0.3181 0.3625
O2 0.1395 0.3714 0.1125
O3 0.1413 0.7941 0.6330
O4 0.3489 0.5381 0.7514
O5 0.3734 0.9547 0.2755
O6 0.3852 0.9918 0.0193
O7 0.5532 0.2899 0.8405
O8 0.6434 0.3919 0.6022
O9 0.6990 0.8476 0.1290
O10 0.8564 0.9506 0.7894
O11 0.8760 0.5645 0.2709
O12 0.9322 0.0395 0.5462

=====

# Li2Mn3B3O9 | the Materials Project | GGA+U | optimized geometry
# - ΔE to the lowest computed polymorph: 39 meV/atom
# - M_tot: 0.824 μB per atom
# - Corrected total energy (MP2020 scheme): -548.3 eV per cell
data_Li2Mn3B3O9
_chemical_formula_sum 'Li8 Mn12 B12 O36'
_cell_length_a 6.3482
_cell_length_b 8.2323
_cell_length_c 14.7268
_cell_angle_alpha 90.01
_cell_angle_beta 102.34
_cell_angle_gamma 90.00
_symmetry_space_group_name_H-M 'P 1'
_symmetry_Int_Tables_number 1
loop_
_symmetry_equiv_pos_as_xyz
'x,y,z'
loop_
_atom_site_label
_atom_site_fract_x
_atom_site_fract_y
_atom_site_fract_z
Li1 0.0000 0.0000 0.0000
Li2 0.0660 0.4497 0.1298
Li3 0.2526 0.4990 0.4994
Li4 0.3196 0.9481 0.6287
Li5 0.4204 0.4207 0.8399
Li6 0.5011 0.0018 0.9986
Li7 0.6712 0.9215 0.3398
Li8 0.7542 0.5018 0.5000
Mn1 0.0882 0.6210 0.6779
Mn2 0.1491 0.1045 0.8051
Mn3 0.2448 0.6476 0.9841
Mn4 0.3420 0.1216 0.1783
Mn5 0.4067 0.6043 0.3052
Mn6 0.4920 0.1488 0.4835
Mn7 0.5985 0.6200 0.6798
Mn8 0.6585 0.1058 0.8064
Mn9 0.7466 0.6494 0.9828
Mn10 0.8446 0.1192 0.1795
Mn11 0.9048 0.6049 0.3055
Mn12 0.9948 0.1490 0.4836
B1 0.0774 0.7954 0.1534
B2 0.1632 0.2973 0.3250
B3 0.2458 0.2849 0.9896
B4 0.3297 0.2921 0.6552
B5 0.4169 0.7916 0.8222
B6 0.4985 0.7857 0.4903
B7 0.5820 0.7933 0.1546
B8 0.6663 0.2882 0.3243
B9 0.7464 0.2872 0.9897
B10 0.8249 0.2952 0.6524
B11 0.9163 0.7922 0.8271
B12 0.9990 0.7866 0.4903
O1 0.0254 0.6348 0.5341
O2 0.0275 0.7764 0.0579
O3 0.0419 0.9258 0.5416
O4 0.0970 0.9508 0.1897
O5 0.1074 0.6579 0.2094
O6 0.1165 0.2775 0.2279
O7 0.1787 0.4558 0.3610
O8 0.1930 0.1660 0.3825
O9 0.2182 0.2926 0.8943
O10 0.2541 0.4242 0.0412
O11 0.2662 0.1334 0.0335
O12 0.2803 0.2787 0.5597
O13 0.3542 0.4445 0.6975
O14 0.3553 0.1534 0.7097
O15 0.3716 0.7715 0.7250
O16 0.4331 0.9463 0.8596
O17 0.4443 0.6551 0.8784
O18 0.4698 0.7919 0.3951
O19 0.5086 0.9252 0.5414
O20 0.5178 0.6338 0.5349
O21 0.5324 0.7720 0.0592
O22 0.5990 0.9495 0.1919
O23 0.6156 0.6659 0.2164
O24 0.6208 0.2663 0.2288
O25 0.6790 0.2951 0.8944
O26 0.6836 0.4432 0.3622
O27 0.6941 0.1515 0.3815
O28 0.7697 0.1359 0.0339
O29 0.7806 0.2696 0.5574
O30 0.7902 0.4270 0.0409
O31 0.8390 0.4557 0.6835
O32 0.8565 0.1713 0.7157
O33 0.8640 0.7685 0.7315
O34 0.9285 0.7928 0.3950
O35 0.9348 0.9502 0.8626
O36 0.9483 0.6599 0.8852

=====

# LiMn2B2O6 | the Materials Project | GGA+U | optimized geometry
# - ΔE to the lowest computed polymorph: 14 meV/atom
# - M_tot: 0.818 μB per atom
# - Corrected total energy (MP2020 scheme): -359.5 eV per cell
data_LiMn2B2O6
_chemical_formula_sum 'Li4 Mn8 B8 O24'
_cell_length_a 5.3513
_cell_length_b 9.0727
_cell_length_c 11.3272
_cell_angle_alpha 112.88
_cell_angle_beta 100.87
_cell_angle_gamma 90.60
_symmetry_space_group_name_H-M 'P 1'
_symmetry_Int_Tables_number 1
loop_
_symmetry_equiv_pos_as_xyz
'x,y,z'
loop_
_atom_site_label
_atom_site_fract_x
_atom_site_fract_y
_atom_site_fract_z
Li1 0.0000 0.0000 0.0000
Li2 0.1099 0.3842 0.7379
Li3 0.3443 0.6030 0.2442
Li4 0.7514 0.7669 0.4869
Mn1 0.0128 0.3303 0.9706
Mn2 0.0603 0.7136 0.7028
Mn3 0.2475 0.9015 0.4639
Mn4 0.3019 0.2586 0.2219
Mn5 0.4912 0.7844 0.9476
Mn6 0.5812 0.1655 0.7176
Mn7 0.7544 0.4080 0.4593
Mn8 0.8223 0.7954 0.2065
B1 0.0147 0.6623 0.9484
B2 0.0382 0.0387 0.7045
B3 0.2664 0.5628 0.4562
B4 0.2829 0.9097 0.1949
B5 0.5021 0.1311 0.9572
B6 0.5645 0.5090 0.7073
B7 0.7548 0.0681 0.4572
B8 0.8145 0.4571 0.2230
O1 0.0283 0.5904 0.4945
O2 0.0450 0.4223 0.1802
O3 0.1133 0.5220 0.9263
O4 0.1142 0.7807 0.9123
O5 0.1526 0.0323 0.1886
O6 0.1963 0.8033 0.2452
O7 0.2744 0.0202 0.6706
O8 0.2756 0.1687 0.0025
O9 0.3628 0.4155 0.4310
O10 0.3965 0.6851 0.4434
O11 0.4570 0.3789 0.7128
O12 0.4645 0.6608 0.7600
O13 0.5040 0.8709 0.1443
O14 0.5648 0.0661 0.5254
O15 0.6105 0.2326 0.9070
O16 0.6282 0.0037 0.9626
O17 0.6916 0.5853 0.2170
O18 0.7047 0.3532 0.2704
O19 0.7866 0.5075 0.6536
O20 0.8075 0.7049 0.0109
O21 0.8440 0.9118 0.3980
O22 0.8556 0.1952 0.4461
O23 0.8854 0.9056 0.6812
O24 0.9583 0.1937 0.7518